No. 1
Na10Sc4Si7Ge4S5O48: relaxed, GGA-PBE.

Cell lengths 9.006, 15.324, 22.296 Å; angles 86.80, 89.99, 89.85 degrees
Space group P1 (No. 1)
Asymmetric unit:
Na  0.000  0.000  0.000
Na  0.000  0.334  0.331
Na  0.002  0.666  0.663
Na  0.129  0.824  0.585
Na  0.136  0.488  0.250
Na  0.142  0.158  0.419
Na  0.145  0.476  0.753
Na  0.146  0.821  0.090
Na  0.147  0.165  0.921
Na  0.275  0.001  0.495
Na  0.314  0.647  0.841
Na  0.316  0.314  0.507
Na  0.321  0.008  0.838
Na  0.448  0.841  0.671
Na  0.449  0.506  0.338
Na  0.453  0.813  0.010
Na  0.455  0.479  0.672
Na  0.500  0.500  0.000
Na  0.618  0.984  0.254
Na  0.637  0.656  0.423
Na  0.639  0.322  0.584
Na  0.646  0.321  0.090
Na  0.648  0.664  0.920
Na  0.655  0.985  0.754
Na  0.815  0.148  0.843
Na  0.817  0.813  0.507
Na  0.822  0.510  0.838
Na  0.948  0.009  0.337
Na  0.954  0.314  0.010
Na  0.957  0.647  0.343
Sc  0.127  0.835  0.732
Sc  0.128  0.161  0.067
Sc  0.136  0.497  0.401
Sc  0.138  0.494  0.899
Sc  0.142  0.164  0.564
Sc  0.146  0.837  0.232
Sc  0.627  0.662  0.067
Sc  0.628  0.999  0.397
Sc  0.629  0.331  0.733
Sc  0.637  0.660  0.565
Sc  0.637  0.994  0.900
Sc  0.645  0.335  0.233
Si  0.000  0.643  0.500
Si  0.266  0.641  0.002
Si  0.274  0.309  0.666
Si  0.278  0.976  0.334
Si  0.341  0.662  0.668
Si  0.341  0.998  0.000
Si  0.345  0.327  0.335
Si  0.432  0.829  0.833
Si  0.435  0.497  0.500
Si  0.496  0.475  0.834
Si  0.496  0.812  0.166
Si  0.505  0.142  0.503
Si  0.766  0.141  0.002
Si  0.774  0.810  0.666
Si  0.775  0.476  0.335
Si  0.840  0.829  0.333
Si  0.841  0.498  0.000
Si  0.931  0.329  0.834
Si  0.932  0.998  0.498
Si  0.994  0.976  0.835
Si  0.997  0.311  0.167
Ge  0.100  0.835  0.438
Ge  0.104  0.497  0.103
Ge  0.118  0.172  0.774
Ge  0.167  0.171  0.273
Ge  0.168  0.835  0.939
Ge  0.169  0.501  0.603
Ge  0.600  0.671  0.772
Ge  0.603  0.336  0.440
Ge  0.606  0.997  0.103
Ge  0.649  0.674  0.275
Ge  0.668  0.997  0.600
Ge  0.670  0.335  0.939
S  0.290  0.350  0.005
S  0.291  0.019  0.672
S  0.291  0.687  0.336
S  0.429  0.159  0.169
S  0.478  0.517  0.171
S  0.481  0.186  0.838
S  0.484  0.852  0.505
S  0.785  0.187  0.337
S  0.791  0.516  0.672
S  0.791  0.850  0.005
S  0.844  0.158  0.670
S  0.928  0.659  0.170
S  0.976  0.017  0.171
S  0.979  0.353  0.504
S  0.983  0.687  0.837
O  0.016  0.066  0.224
O  0.016  0.405  0.556
O  0.017  0.739  0.889
O  0.020  0.576  0.167
O  0.023  0.918  0.779
O  0.025  0.735  0.173
O  0.026  0.589  0.442
O  0.029  0.236  0.831
O  0.031  0.414  0.839
O  0.033  0.905  0.498
O  0.035  0.259  0.107
O  0.039  0.059  0.114
O  0.043  0.928  0.172
O  0.045  0.389  0.447
O  0.046  0.725  0.780
O  0.047  0.076  0.507
O  0.049  0.264  0.510
O  0.056  0.599  0.841
O  0.072  0.592  0.564
O  0.076  0.259  0.229
O  0.079  0.930  0.897
O  0.083  0.410  0.162
O  0.086  0.074  0.826
O  0.088  0.741  0.494
O  0.182  0.073  0.325
O  0.186  0.740  0.994
O  0.190  0.930  0.397
O  0.191  0.408  0.660
O  0.191  0.588  0.063
O  0.197  0.257  0.728
O  0.220  0.388  0.949
O  0.223  0.597  0.340
O  0.224  0.931  0.672
O  0.225  0.077  0.007
O  0.225  0.262  0.010
O  0.227  0.726  0.280
O  0.230  0.062  0.616
O  0.230  0.745  0.673
O  0.231  0.410  0.339
O  0.237  0.238  0.331
O  0.239  0.904  0.998
O  0.240  0.571  0.664
O  0.244  0.256  0.608
O  0.247  0.919  0.278
O  0.252  0.068  0.726
O  0.254  0.583  0.944
O  0.260  0.405  0.057
O  0.262  0.736  0.389
O  0.314  0.511  0.168
O  0.317  0.173  0.833
O  0.319  0.823  0.172
O  0.321  0.496  0.841
O  0.322  0.846  0.501
O  0.326  0.158  0.511
O  0.329  0.840  0.775
O  0.330  0.808  0.896
O  0.331  0.474  0.562
O  0.332  0.169  0.116
O  0.334  0.504  0.440
O  0.338  0.142  0.226
O  0.436  0.007  0.939
O  0.436  0.310  0.400
O  0.436  0.639  0.733
O  0.445  0.658  0.010
O  0.449  0.972  0.059
O  0.451  0.994  0.342
O  0.452  0.326  0.673
O  0.453  0.345  0.999
O  0.454  0.009  0.669
O  0.456  0.343  0.280
O  0.456  0.677  0.615
O  0.457  0.673  0.331
O  0.511  0.237  0.890
O  0.513  0.904  0.559
O  0.516  0.566  0.225
O  0.517  0.077  0.450
O  0.520  0.077  0.166
O  0.522  0.422  0.774
O  0.523  0.235  0.174
O  0.529  0.736  0.832
O  0.530  0.402  0.499
O  0.533  0.760  0.106
O  0.533  0.915  0.839
O  0.539  0.559  0.115
O  0.540  0.580  0.507
O  0.542  0.226  0.782
O  0.546  0.429  0.172
O  0.553  0.098  0.841
O  0.553  0.894  0.451
O  0.555  0.765  0.509
O  0.577  0.759  0.226
O  0.580  0.091  0.566
O  0.580  0.426  0.895
O  0.583  0.911  0.161
O  0.587  0.239  0.495
O  0.589  0.573  0.828
O  0.682  0.760  0.726
O  0.683  0.909  0.660
O  0.685  0.240  0.995
O  0.685  0.573  0.324
O  0.686  0.428  0.394
O  0.691  0.089  0.063
O  0.720  0.428  0.674
O  0.720  0.888  0.949
O  0.722  0.098  0.341
O  0.724  0.560  0.618
O  0.726  0.226  0.280
O  0.726  0.577  0.008
O  0.726  0.762  0.010
O  0.739  0.405  0.998
O  0.740  0.915  0.338
O  0.743  0.735  0.331
O  0.746  0.234  0.674
O  0.751  0.756  0.608
O  0.753  0.084  0.944
O  0.754  0.076  0.668
O  0.756  0.240  0.389
O  0.760  0.566  0.726
O  0.761  0.905  0.056
O  0.762  0.413  0.280
O  0.812  0.012  0.167
O  0.817  0.338  0.779
O  0.817  0.343  0.500
O  0.820  0.322  0.173
O  0.820  0.674  0.833
O  0.820  0.998  0.842
O  0.825  0.663  0.508
O  0.828  0.971  0.560
O  0.830  0.668  0.118
O  0.833  0.007  0.439
O  0.834  0.306  0.898
O  0.840  0.644  0.228
O  0.932  0.144  0.729
O  0.937  0.507  0.939
O  0.938  0.806  0.397
O  0.941  0.169  0.619
O  0.945  0.158  0.010
O  0.948  0.472  0.059
O  0.949  0.820  0.675
O  0.951  0.494  0.342
O  0.952  0.178  0.334
O  0.953  0.509  0.667
O  0.954  0.845  0.999
O  0.955  0.837  0.278

* ΔH_f (0 K): -2.57 eV/atom
* electronic total energy: -520.4 eV/f.u.

=====

No. 2
Na8Sc2Si5Ge2SO24: relaxed, GGA-PBE.

Cell lengths 8.979, 9.017, 22.070 Å; angles 90.53, 90.51, 119.75 degrees
Space group P1 (No. 1)
Asymmetric unit:
Na  0.000  0.000  0.000
Na  0.001  0.363  0.754
Na  0.035  0.685  0.178
Na  0.039  0.057  0.668
Na  0.292  0.688  0.674
Na  0.305  0.331  0.171
Na  0.323  0.025  0.586
Na  0.326  0.657  0.338
Na  0.330  0.383  0.837
Na  0.349  0.035  0.087
Na  0.372  0.360  0.503
Na  0.375  0.731  0.000
Na  0.618  0.347  0.006
Na  0.628  0.984  0.501
Na  0.654  0.062  0.169
Na  0.657  0.693  0.919
Na  0.660  0.327  0.670
Na  0.666  0.692  0.422
Na  0.686  0.019  0.838
Na  0.699  0.385  0.338
Na  0.966  0.024  0.340
Na  0.975  0.664  0.836
Na  0.995  0.731  0.503
Na  0.998  0.365  0.257
Sc  0.325  0.023  0.739
Sc  0.338  0.026  0.240
Sc  0.338  0.030  0.934
Sc  0.646  0.684  0.067
Sc  0.666  0.683  0.564
Sc  0.996  0.357  0.108
Si  0.004  0.078  0.502
Si  0.025  0.016  0.836
Si  0.036  0.729  0.338
Si  0.283  0.353  0.003
Si  0.283  0.651  0.500
Si  0.324  0.312  0.340
Si  0.330  0.719  0.837
Si  0.369  0.399  0.668
Si  0.375  0.693  0.173
Si  0.627  0.024  0.340
Si  0.635  0.322  0.838
Si  0.663  0.402  0.172
Si  0.709  0.068  0.002
Si  0.712  0.349  0.502
Si  0.954  0.685  0.670
Ge  0.000  0.341  0.897
Ge  0.015  0.379  0.600
Ge  0.330  0.023  0.439
Ge  0.646  0.668  0.280
Ge  0.658  0.668  0.775
Ge  0.998  0.356  0.402
S  0.666  0.982  0.671
S  0.953  0.979  0.172
S  0.999  0.649  0.003
O  0.008  0.191  0.842
O  0.013  0.537  0.346
O  0.025  0.572  0.058
O  0.040  0.202  0.564
O  0.101  0.972  0.896
O  0.126  0.862  0.397
O  0.126  0.997  0.175
O  0.147  0.850  0.676
O  0.151  0.064  0.778
O  0.152  0.805  0.279
O  0.154  0.820  0.999
O  0.156  0.337  0.346
O  0.156  0.528  0.845
O  0.166  0.574  0.562
O  0.172  0.328  0.063
O  0.174  0.383  0.664
O  0.179  0.061  0.497
O  0.188  0.518  0.171
O  0.191  0.389  0.943
O  0.193  0.520  0.443
O  0.284  0.199  0.279
O  0.288  0.800  0.778
O  0.297  0.842  0.496
O  0.300  0.181  0.999
O  0.348  0.859  0.176
O  0.351  0.211  0.675
O  0.370  0.224  0.398
O  0.373  0.841  0.896
O  0.459  0.525  0.730
O  0.472  0.660  0.233
O  0.473  0.673  0.506
O  0.475  0.524  0.002
O  0.486  0.486  0.610
O  0.489  0.215  0.175
O  0.490  0.729  0.113
O  0.495  0.980  0.397
O  0.501  0.505  0.336
O  0.507  0.704  0.828
O  0.511  0.001  0.675
O  0.511  0.247  0.896
O  0.515  0.042  0.998
O  0.519  0.175  0.497
O  0.554  0.068  0.279
O  0.559  0.201  0.778
O  0.640  0.490  0.111
O  0.640  0.879  0.616
O  0.647  0.849  0.331
O  0.651  0.513  0.831
O  0.690  0.518  0.505
O  0.692  0.902  0.726
O  0.697  0.530  0.233
O  0.701  0.883  0.003
O  0.789  0.185  0.063
O  0.801  0.315  0.563
O  0.819  0.195  0.347
O  0.822  0.155  0.668
O  0.828  0.649  0.730
O  0.830  0.349  0.848
O  0.832  0.847  0.825
O  0.833  0.165  0.943
O  0.834  0.890  0.507
O  0.835  0.383  0.172
O  0.836  0.388  0.443
O  0.842  0.714  0.332
O  0.846  0.670  0.008
O  0.848  0.901  0.226
O  0.874  0.727  0.611
O  0.875  0.877  0.116
O  0.965  0.504  0.663
O  0.967  0.164  0.443
O  0.969  0.541  0.948
O  0.971  0.152  0.168

* ΔH_f (0 K): -2.72 eV/atom
* electronic total energy: -280.1 eV/f.u.